No. 1
BaTiO3 PBE-GGA optimized geometry; calculated formation energy = -3.492 eV/atom; space-group type = R3m, No. 160; largest piezoelectric modulus = 4.5 C/m²; MP2020-corrected energy = -42.1 eV/cell
1.0
2.8773 1.6612 2.3700
-2.8773 1.6612 2.3700
0.0000 -3.3225 2.3700
Ba Ti O
1 1 3
direct
0.0000 0.0000 0.0000
0.5144 0.5144 0.5144
0.4826 0.4825 0.9717
0.4826 0.9717 0.4826
0.9717 0.4826 0.4826

---

No. 2
BaO2 PBE-GGA optimized geometry; calculated formation energy = -1.737 eV/atom; space-group type = P2_1/c, No. 14; MP2020-corrected energy = -136.2 eV/cell
1.0
7.0838 0.0000 0.0000
0.0000 7.9545 0.0000
-5.6542 0.0000 8.2249
Ba O
8 16
direct
0.0711 0.0383 0.3335
0.0711 0.4617 0.8335
0.4108 0.6181 0.6362
0.4108 0.8819 0.1362
0.5892 0.1181 0.8638
0.5892 0.3819 0.3638
0.9289 0.5383 0.1665
0.9289 0.9617 0.6665
0.0892 0.1367 0.0631
0.0892 0.3633 0.5631
0.2673 0.1605 0.9355
0.2673 0.3395 0.4355
0.2683 0.5706 0.1319
0.2683 0.9294 0.6319
0.3198 0.7385 0.3461
0.3198 0.7615 0.8461
0.6802 0.2385 0.1539
0.6802 0.2615 0.6539
0.7317 0.0706 0.3681
0.7317 0.4294 0.8681
0.7327 0.6605 0.5645
0.7327 0.8395 0.0645
0.9108 0.6367 0.4369
0.9108 0.8633 0.9369

---

No. 3
TbTe PBE-GGA optimized geometry; calculated formation energy = -1.520 eV/atom; space-group type = P-6m2, No. 187; MP2020-corrected energy = -10.8 eV/cell
1.0
4.1154 0.0000 0.0000
-2.0577 3.5640 0.0000
0.0000 0.0000 4.0725
Tb Te
1 1
direct
0.0000 0.0000 0.0000
0.6667 0.3333 0.5000

---

No. 4
TeSeO4 PBE-GGA optimized geometry; calculated formation energy = -1.347 eV/atom; space-group type = Cc, No. 9; MP2020-corrected energy = -69.0 eV/cell
1.0
4.0790 -6.4340 0.0000
4.0790 6.4340 0.0000
-2.4350 0.0000 3.7560
Te Se O
2 2 8
direct
0.1094 0.8906 0.5000
0.8906 0.1094 0.0000
0.3796 0.6286 0.7500
0.6286 0.3796 0.2500
0.0428 0.9472 0.8863
0.2134 0.4211 0.3072
0.2418 0.7520 0.8182
0.4211 0.2134 0.8072
0.5802 0.8021 0.6677
0.7520 0.2418 0.3182
0.8021 0.5802 0.1677
0.9472 0.0428 0.3863

---

Copy entry 1 word for word.
BaTiO3 PBE-GGA optimized geometry; calculated formation energy = -3.492 eV/atom; space-group type = R3m, No. 160; largest piezoelectric modulus = 4.5 C/m²; MP2020-corrected energy = -42.1 eV/cell
1.0
2.8773 1.6612 2.3700
-2.8773 1.6612 2.3700
0.0000 -3.3225 2.3700
Ba Ti O
1 1 3
direct
0.0000 0.0000 0.0000
0.5144 0.5144 0.5144
0.4826 0.4825 0.9717
0.4826 0.9717 0.4826
0.9717 0.4826 0.4826

---

Repeat the second record exactly.
BaO2 PBE-GGA optimized geometry; calculated formation energy = -1.737 eV/atom; space-group type = P2_1/c, No. 14; MP2020-corrected energy = -136.2 eV/cell
1.0
7.0838 0.0000 0.0000
0.0000 7.9545 0.0000
-5.6542 0.0000 8.2249
Ba O
8 16
direct
0.0711 0.0383 0.3335
0.0711 0.4617 0.8335
0.4108 0.6181 0.6362
0.4108 0.8819 0.1362
0.5892 0.1181 0.8638
0.5892 0.3819 0.3638
0.9289 0.5383 0.1665
0.9289 0.9617 0.6665
0.0892 0.1367 0.0631
0.0892 0.3633 0.5631
0.2673 0.1605 0.9355
0.2673 0.3395 0.4355
0.2683 0.5706 0.1319
0.2683 0.9294 0.6319
0.3198 0.7385 0.3461
0.3198 0.7615 0.8461
0.6802 0.2385 0.1539
0.6802 0.2615 0.6539
0.7317 0.0706 0.3681
0.7317 0.4294 0.8681
0.7327 0.6605 0.5645
0.7327 0.8395 0.0645
0.9108 0.6367 0.4369
0.9108 0.8633 0.9369